YTc2: relaxed, meta-GGA r2SCAN.

Crystal system: hexagonal
ΔE_f, eV/atom: -0.1755
E, eV per atom: -24.256

Lattice parameters (Å, degrees): 5.3519 5.3519 8.8697 90.00 90.00 120.00
Space group P6_3/mmc (No. 194)
Symmetry-distinct sites (fractional):
1 Y 0.3333 0.6667 0.0630 (multiplicity 4)
2 Tc 0.0000 0.0000 0.0000 (multiplicity 2)
3 Tc 0.1712 0.3425 0.7500 (multiplicity 6)